Below is a relaxed Fe4OF7 crystal, with properties calculated at the PBE with a Hubbard U level.

abc: 6.5048 4.8075 9.6106
angles: 90.00 90.21 90.00
Space group P2_1 (No. 4)
Asymmetric unit:
Fe: 0.1060 0.9995 0.1345 [2 per cell]
Fe: 0.1236 0.0312 0.6326 [2 per cell]
Fe: 0.3695 0.5000 0.8715 [2 per cell]
Fe: 0.3730 0.5150 0.3784 [2 per cell]
O: 0.1117 0.3223 0.7822 [2 per cell]
F: 0.1137 0.7289 0.9735 [2 per cell]
F: 0.1283 0.7194 0.4816 [2 per cell]
F: 0.1306 0.3108 0.2710 [2 per cell]
F: 0.3576 0.8137 0.2226 [2 per cell]
F: 0.3602 0.1985 0.0324 [2 per cell]
F: 0.3767 0.2115 0.5239 [2 per cell]
F: 0.3825 0.8166 0.7278 [2 per cell]

Output
The relative energy among the computed polymorphs comes out at 0.4 kJ per mole of atoms. The value obtained for the electronic total energy is -5.69 eV per atom. The value obtained for the calculated volume is 300.5 Å³ per cell. For the calculated formation energy, the calculation gives -2.414 eV/atom. Its size of the total moment is 1.417 μB per atom.

Below is a relaxed Fe3O5F crystal, with properties calculated at the PBE with a Hubbard U level.

abc: 9.0515 6.4183 7.3689
angles: 90.00 114.08 90.00
Space group Cm (No. 8)
Asymmetric unit:
Fe: 0.0000 0.0000 0.0000 [2 per cell]
Fe: 0.0000 0.0000 0.4823 [2 per cell]
Fe: 0.1733 0.5000 0.6531 [2 per cell]
Fe: 0.1779 0.5000 0.1535 [2 per cell]
Fe: 0.3281 0.0000 0.3373 [2 per cell]
Fe: 0.3478 0.0000 0.8135 [2 per cell]
O: 0.0043 0.3081 0.4941 [4 per cell]
O: 0.0754 0.5000 0.8680 [2 per cell]
O: 0.1659 0.1937 0.1564 [4 per cell]
O: 0.2266 0.0000 0.5295 [2 per cell]
O: 0.2744 0.5000 0.4441 [2 per cell]
O: 0.3409 0.3056 0.8196 [4 per cell]
O: 0.4021 0.5000 0.1909 [2 per cell]
F: 0.1092 0.0000 0.7929 [2 per cell]
F: 0.4350 0.0000 0.1189 [2 per cell]

Output
The relative energy among the computed polymorphs comes out at 0.6 kJ per mole of atoms. The value obtained for the electronic total energy is -6.12 eV per atom. The value obtained for the calculated volume is 390.8 Å³ per cell. For the calculated formation energy, the calculation gives -1.524 eV/atom. Its size of the total moment is 1.448 μB per atom.

Below is a relaxed Fe4O7F crystal, with properties calculated at the PBE with a Hubbard U level.

abc: 6.0047 4.6424 9.7359
angles: 90.00 107.85 90.00
Space group P2_1 (No. 4)
Asymmetric unit:
Fe: 0.0590 0.0000 0.3704 [2 per cell]
Fe: 0.1788 0.5202 0.1204 [2 per cell]
Fe: 0.3088 0.0139 0.8816 [2 per cell]
Fe: 0.4314 0.4754 0.6176 [2 per cell]
O: 0.0159 0.8192 0.7821 [2 per cell]
O: 0.1162 0.2151 0.9782 [2 per cell]
O: 0.1400 0.6811 0.5297 [2 per cell]
O: 0.2362 0.3073 0.7211 [2 per cell]
O: 0.2660 0.8056 0.2774 [2 per cell]
O: 0.3587 0.1769 0.4656 [2 per cell]
O: 0.3913 0.6993 0.0303 [2 per cell]
F: 0.4893 0.3064 0.2242 [2 per cell]

Output
The relative energy among the computed polymorphs comes out at 0.6 kJ per mole of atoms. The value obtained for the electronic total energy is -6.14 eV per atom. The value obtained for the calculated volume is 258.3 Å³ per cell. For the calculated formation energy, the calculation gives -1.458 eV/atom. Its size of the total moment is 1.422 μB per atom.

Below is a relaxed Fe6O7F5 crystal, with properties calculated at the PBE with a Hubbard U level.

abc: 9.3103 6.4039 7.6936
angles: 90.00 116.19 90.00
Space group Cm (No. 8)
Asymmetric unit:
Fe: 0.0000 0.0000 0.0000 [2 per cell]
Fe: 0.0061 0.0000 0.4950 [2 per cell]
Fe: 0.1602 0.5000 0.1859 [2 per cell]
Fe: 0.1685 0.5000 0.6521 [2 per cell]
Fe: 0.3393 0.0000 0.8318 [2 per cell]
Fe: 0.3503 0.0000 0.3296 [2 per cell]
O: 0.0019 0.3006 0.9990 [4 per cell]
O: 0.0687 0.5000 0.3746 [2 per cell]
O: 0.1703 0.1930 0.6636 [4 per cell]
O: 0.3413 0.3060 0.3336 [4 per cell]
F: 0.1142 0.0000 0.2948 [2 per cell]
F: 0.2342 0.0000 0.0355 [2 per cell]
F: 0.2690 0.5000 0.9493 [2 per cell]
F: 0.4028 0.5000 0.7026 [2 per cell]
F: 0.4392 0.0000 0.6301 [2 per cell]

Output
The relative energy among the computed polymorphs comes out at 1.8 kJ per mole of atoms. The value obtained for the electronic total energy is -6.03 eV per atom. The value obtained for the calculated volume is 411.6 Å³ per cell. For the calculated formation energy, the calculation gives -1.897 eV/atom. Its size of the total moment is 1.611 μB per atom.

Below is a relaxed Fe2O3F crystal, with properties calculated at the PBE with a Hubbard U level.

abc: 5.5512 4.6503 10.2363
angles: 90.00 95.45 90.00
Space group P2_1/c (No. 14)
Asymmetric unit:
Fe: 0.0000 0.0000 0.0000 [2 per cell]
Fe: 0.2430 0.0208 0.7397 [4 per cell]
Fe: 0.5000 0.0000 0.5000 [2 per cell]
O: 0.0203 0.6927 0.6723 [4 per cell]
O: 0.2324 0.2022 0.5671 [4 per cell]
O: 0.4839 0.1863 0.3320 [4 per cell]
F: 0.2719 0.6956 0.4180 [4 per cell]

Output
The relative energy among the computed polymorphs comes out at 3.7 kJ per mole of atoms. The value obtained for the electronic total energy is -6.08 eV per atom. The value obtained for the calculated volume is 263.1 Å³ per cell. For the calculated formation energy, the calculation gives -1.635 eV/atom. Its size of the total moment is 1.500 μB per atom.

Below is a relaxed Fe3O2F4 crystal, with properties calculated at the PBE with a Hubbard U level.

abc: 9.3598 6.5988 7.6630
angles: 90.00 114.57 90.00
Space group C2 (No. 5)
Asymmetric unit:
Fe: 0.0000 0.0000 0.0000 [2 per cell]
Fe: 0.0000 0.0062 0.5000 [2 per cell]
Fe: 0.1562 0.5007 0.1592 [4 per cell]
Fe: 0.1664 0.4670 0.6645 [4 per cell]
O: 0.0000 0.2939 0.0000 [2 per cell]
O: 0.0000 0.7000 0.0000 [2 per cell]
O: 0.1707 0.1664 0.6684 [4 per cell]
F: 0.0674 0.4855 0.3598 [4 per cell]
F: 0.0918 0.9875 0.2962 [4 per cell]
F: 0.1648 0.7813 0.6627 [4 per cell]
F: 0.2279 0.9909 0.0272 [4 per cell]

Output
The relative energy among the computed polymorphs comes out at 0.0 kJ per mole of atoms. The value obtained for the electronic total energy is -5.86 eV per atom. The value obtained for the calculated volume is 430.4 Å³ per cell. For the calculated formation energy, the calculation gives -2.197 eV/atom. Its size of the total moment is 1.556 μB per atom.

Below is a relaxed Fe4OF7 crystal, with properties calculated at the PBE with a Hubbard U level.

abc: 5.8045 4.8094 10.8470
angles: 90.00 97.69 90.00
Space group P2_1 (No. 4)
Asymmetric unit:
Fe: 0.0065 0.0000 0.2534 [2 per cell]
Fe: 0.2433 0.4814 0.4894 [2 per cell]
Fe: 0.2486 0.9938 0.9970 [2 per cell]
Fe: 0.4790 0.4709 0.2567 [2 per cell]
O: 0.2370 0.2948 0.3167 [2 per cell]
F: 0.0202 0.7891 0.4253 [2 per cell]
F: 0.0358 0.6787 0.9306 [2 per cell]
F: 0.2412 0.1852 0.8182 [2 per cell]
F: 0.2771 0.6997 0.6722 [2 per cell]
F: 0.2815 0.7817 0.1715 [2 per cell]
F: 0.4708 0.1966 0.5844 [2 per cell]
F: 0.4720 0.2943 0.0821 [2 per cell]

Output
The relative energy among the computed polymorphs comes out at 0.3 kJ per mole of atoms. The value obtained for the electronic total energy is -5.69 eV per atom. The value obtained for the calculated volume is 300.1 Å³ per cell. For the calculated formation energy, the calculation gives -2.415 eV/atom. Its size of the total moment is 1.417 μB per atom.